VASP calculation (GGA+U) on a relaxed Li3CoPCO7 crystal.

```
52
Lattice="-6.0123 -0.4507 -2.2916 -1.3419 -6.7959 4.8065 -3.4135 5.1875 7.8167" Properties=species:S:1:pos:R:3 pbc="T T T"
Li -4.8147 -3.0643 8.5514
Li -3.1669 -5.6188 4.6993
Li -6.9813 -0.5251 9.2958
Li -2.3010 -3.0427 6.3124
Li -5.1390 -3.2567 5.2252
Li -5.7570 -4.1877 2.3903
Li -5.6418 1.0943 4.9837
Li -8.3439 0.8790 3.9464
Li -3.9986 -1.4699 1.1283
Li -6.6491 -1.6647 0.1130
Li -7.6723 3.5748 5.7062
Li -5.9110 1.0015 1.6592
Co -4.0395 -0.3418 10.4287
Co -7.4435 -1.7561 6.1761
Co -5.0139 2.2830 8.0430
Co -3.2900 -0.3347 4.1119
P -4.4620 -0.7903 7.2657
P -2.7814 -3.3926 3.3100
P -8.0058 1.2874 6.9624
P -6.2879 -1.2721 3.0760
C -8.0402 -3.5103 7.9808
C -6.3193 -6.1165 4.0348
C -4.4335 4.0685 6.2796
C -2.7524 1.4570 2.3513
O -7.5474 -3.9133 6.8626
O -5.3843 -1.8904 10.1457
O -5.8794 -6.5369 2.8945
O -8.2232 -2.2138 8.1313
O -3.7959 -4.4980 6.2185
O -6.4949 -4.8577 4.2701
O -3.3002 -1.6922 7.7688
O -5.5661 -1.8359 6.9357
O -1.5790 -4.2521 3.8355
O -3.8647 -4.4342 2.9847
O -8.4323 0.4223 8.1727
O -4.9374 0.1534 8.4362
O -6.6903 -2.1485 4.2904
O -3.2540 -2.4392 4.4553
O -7.4869 0.3557 5.8264
O -4.0780 0.0925 6.0628
O -5.7850 -2.1886 1.9472
O -2.3583 -2.5110 2.1052
O -9.1551 2.1970 6.4349
O -6.9183 2.3282 7.3493
O -5.2089 -0.2047 3.4493
O -7.4632 -0.3683 2.5796
O -4.3436 2.7945 6.0583
O -6.9987 2.4790 4.1376
O -2.5895 0.1763 2.1632
O -4.9085 4.4850 7.3944
O -5.2516 -0.1832 0.1853
O -3.2175 1.8458 3.4953
```

Values from the calculation:
As for the excess energy over the best structure of this formula in the dataset: 28 meV/atom. The calculated formation energy is -52.34 kcal/mol of atoms. Its space-group type is No. 1. As for the uncorrected energy: -6.5517 eV per atom.